[1]
Entry from the Materials Project: crystalline Rb8Mn5O10 at its relaxed geometry (PBE+U).

Cell and atoms, written as POSCAR:
```
Rb8Mn5O10
1.0
12.362 0.000 0.000
0.000 28.378 0.000
-5.879 0.000 10.866
Rb Mn O
64 40 80
direct
0.088 0.215 0.266 Rb
0.088 0.285 0.766 Rb
0.123 0.593 0.277 Rb
0.123 0.907 0.777 Rb
0.144 0.535 0.802 Rb
0.144 0.965 0.302 Rb
0.160 0.662 0.827 Rb
0.160 0.838 0.327 Rb
0.180 0.155 0.825 Rb
0.180 0.345 0.325 Rb
0.197 0.032 0.872 Rb
0.197 0.468 0.372 Rb
0.218 0.091 0.379 Rb
0.218 0.409 0.879 Rb
0.252 0.707 0.401 Rb
0.252 0.793 0.901 Rb
0.269 0.597 0.612 Rb
0.269 0.903 0.112 Rb
0.271 0.220 0.603 Rb
0.271 0.280 0.103 Rb
0.280 0.523 0.134 Rb
0.280 0.977 0.634 Rb
0.310 0.154 0.165 Rb
0.310 0.346 0.665 Rb
0.344 0.651 0.175 Rb
0.344 0.849 0.675 Rb
0.381 0.026 0.207 Rb
0.381 0.474 0.707 Rb
0.387 0.718 0.733 Rb
0.387 0.782 0.233 Rb
0.397 0.096 0.721 Rb
0.397 0.404 0.221 Rb
0.603 0.596 0.779 Rb
0.603 0.904 0.279 Rb
0.613 0.218 0.767 Rb
0.613 0.282 0.267 Rb
0.619 0.526 0.293 Rb
0.619 0.974 0.793 Rb
0.656 0.151 0.325 Rb
0.656 0.349 0.825 Rb
0.690 0.654 0.335 Rb
0.690 0.846 0.835 Rb
0.720 0.023 0.366 Rb
0.720 0.477 0.866 Rb
0.729 0.720 0.897 Rb
0.729 0.780 0.397 Rb
0.731 0.097 0.888 Rb
0.731 0.403 0.388 Rb
0.748 0.207 0.099 Rb
0.748 0.293 0.599 Rb
0.782 0.591 0.121 Rb
0.782 0.909 0.621 Rb
0.803 0.532 0.628 Rb
0.803 0.968 0.128 Rb
0.820 0.655 0.675 Rb
0.820 0.845 0.175 Rb
0.840 0.162 0.673 Rb
0.840 0.338 0.173 Rb
0.856 0.035 0.698 Rb
0.856 0.465 0.198 Rb
0.877 0.093 0.223 Rb
0.877 0.407 0.723 Rb
0.912 0.715 0.234 Rb
0.912 0.785 0.734 Rb
0.005 0.152 0.985 Mn
0.005 0.348 0.485 Mn
0.010 0.650 0.997 Mn
0.010 0.850 0.497 Mn
0.020 0.050 0.527 Mn
0.020 0.450 0.027 Mn
0.026 0.050 0.022 Mn
0.026 0.450 0.522 Mn
0.049 0.749 0.047 Mn
0.049 0.751 0.547 Mn
0.453 0.249 0.955 Mn
0.453 0.251 0.455 Mn
0.474 0.550 0.984 Mn
0.474 0.950 0.484 Mn
0.480 0.549 0.473 Mn
0.480 0.951 0.973 Mn
0.485 0.150 0.009 Mn
0.485 0.350 0.509 Mn
0.498 0.651 0.008 Mn
0.498 0.849 0.508 Mn
0.502 0.151 0.492 Mn
0.502 0.349 0.992 Mn
0.515 0.650 0.491 Mn
0.515 0.850 0.991 Mn
0.520 0.049 0.027 Mn
0.520 0.451 0.527 Mn
0.526 0.050 0.516 Mn
0.526 0.450 0.016 Mn
0.547 0.749 0.545 Mn
0.547 0.751 0.045 Mn
0.951 0.249 0.453 Mn
0.951 0.251 0.953 Mn
0.974 0.550 0.478 Mn
0.974 0.950 0.978 Mn
0.980 0.550 0.973 Mn
0.980 0.950 0.473 Mn
0.990 0.150 0.503 Mn
0.990 0.350 0.003 Mn
0.995 0.652 0.515 Mn
0.995 0.848 0.015 Mn
0.022 0.101 0.890 O
0.022 0.399 0.390 O
0.029 0.508 0.132 O
0.029 0.992 0.632 O
0.036 0.111 0.123 O
0.036 0.389 0.623 O
0.039 0.206 0.608 O
0.039 0.294 0.108 O
0.084 0.205 0.953 O
0.084 0.295 0.453 O
0.100 0.687 0.148 O
0.100 0.813 0.648 O
0.124 0.600 0.020 O
0.124 0.900 0.520 O
0.134 0.110 0.575 O
0.134 0.390 0.075 O
0.136 0.690 0.539 O
0.136 0.810 0.039 O
0.137 0.509 0.564 O
0.137 0.991 0.064 O
0.351 0.189 0.422 O
0.351 0.311 0.922 O
0.375 0.009 0.487 O
0.375 0.491 0.987 O
0.375 0.610 0.458 O
0.375 0.890 0.958 O
0.391 0.706 0.973 O
0.391 0.794 0.473 O
0.393 0.099 0.030 O
0.393 0.401 0.530 O
0.411 0.610 0.868 O
0.411 0.890 0.368 O
0.441 0.010 0.864 O
0.441 0.490 0.364 O
0.458 0.101 0.375 O
0.458 0.399 0.875 O
0.462 0.188 0.867 O
0.462 0.312 0.367 O
0.468 0.204 0.097 O
0.468 0.296 0.597 O
0.532 0.704 0.403 O
0.532 0.796 0.903 O
0.538 0.688 0.633 O
0.538 0.812 0.133 O
0.542 0.601 0.125 O
0.542 0.899 0.625 O
0.559 0.510 0.636 O
0.559 0.990 0.136 O
0.589 0.110 0.632 O
0.589 0.390 0.132 O
0.607 0.599 0.470 O
0.607 0.901 0.970 O
0.609 0.206 0.527 O
0.609 0.294 0.027 O
0.625 0.110 0.042 O
0.625 0.390 0.542 O
0.625 0.509 0.013 O
0.625 0.991 0.513 O
0.649 0.689 0.078 O
0.649 0.811 0.578 O
0.863 0.009 0.936 O
0.863 0.491 0.436 O
0.864 0.190 0.961 O
0.864 0.310 0.461 O
0.866 0.610 0.925 O
0.866 0.890 0.425 O
0.876 0.100 0.480 O
0.876 0.400 0.980 O
0.900 0.187 0.352 O
0.900 0.313 0.852 O
0.916 0.705 0.547 O
0.916 0.795 0.047 O
0.961 0.706 0.892 O
0.961 0.794 0.392 O
0.964 0.611 0.377 O
0.964 0.889 0.877 O
0.971 0.008 0.368 O
0.971 0.492 0.868 O
0.978 0.601 0.610 O
0.978 0.899 0.110 O
```

## Properties
The energy with MP2020 corrections comes out at -6.17 eV per atom. As for the symmetry: No. 14. As for the formation energy: -1.690 eV/atom.

=====

[2]
Entry from the Materials Project: crystalline Ta2CrO6 at its relaxed geometry (PBE+U).

Cell and atoms, written as POSCAR:
```
Ta2CrO6
1.0
3.424 -3.417 0.000
3.424 3.417 0.000
-0.162 0.000 9.236
Ta Cr O
4 2 12
direct
0.002 0.002 0.167 Ta
0.495 0.495 0.671 Ta
0.505 0.505 0.329 Ta
0.998 0.998 0.833 Ta
0.000 0.000 0.500 Cr
0.500 0.500 0.000 Cr
0.188 0.188 0.999 O
0.197 0.197 0.677 O
0.217 0.217 0.312 O
0.286 0.699 0.824 O
0.301 0.714 0.176 O
0.314 0.686 0.500 O
0.686 0.314 0.500 O
0.699 0.286 0.824 O
0.714 0.301 0.176 O
0.783 0.783 0.688 O
0.803 0.803 0.323 O
0.812 0.812 0.001 O
```

## Properties
The energy with MP2020 corrections comes out at -10.03 eV per atom. As for the energy relative to the lowest polymorph listed for this composition: 25 meV/atom. As for the symmetry: No. 12. As for the formation energy: -3.022 eV/atom.

=====

[3]
Entry from the Materials Project: crystalline Co3O2F4 at its relaxed geometry (PBE+U).

Cell and atoms, written as POSCAR:
```
Co3O2F4
1.0
4.677 0.000 0.000
0.174 5.620 0.000
0.212 0.392 7.692
Co O F
6 4 8
direct
0.000 0.000 0.000 Co
0.001 0.306 0.631 Co
0.461 0.844 0.677 Co
0.502 0.488 0.990 Co
0.517 0.168 0.331 Co
0.980 0.648 0.330 Co
0.296 0.785 0.907 O
0.313 0.129 0.550 O
0.695 0.203 0.098 O
0.793 0.351 0.423 O
0.188 0.290 0.880 F
0.196 0.618 0.560 F
0.211 0.969 0.235 F
0.292 0.460 0.222 F
0.690 0.855 0.437 F
0.704 0.522 0.757 F
0.797 0.704 0.097 F
0.802 0.025 0.758 F
```

## Properties
The energy with MP2020 corrections comes out at -6.12 eV per atom. As for the energy relative to the lowest polymorph listed for this composition: 77 meV/atom. As for the symmetry: No. 1. As for the formation energy: -1.802 eV/atom.

=====

[4]
Entry from the Materials Project: crystalline LiCdMoO5 at its relaxed geometry (PBE+U).

Cell and atoms, written as POSCAR:
```
LiCdMoO5
1.0
10.758 0.000 0.000
0.000 5.463 0.000
-4.282 0.000 9.539
Li Cd Mo O
4 4 4 20
direct
0.180 0.131 0.059 Li
0.180 0.369 0.559 Li
0.820 0.631 0.441 Li
0.820 0.869 0.941 Li
0.077 0.644 0.790 Cd
0.077 0.856 0.290 Cd
0.923 0.144 0.710 Cd
0.923 0.356 0.210 Cd
0.445 0.539 0.840 Mo
0.445 0.961 0.340 Mo
0.555 0.039 0.660 Mo
0.555 0.461 0.160 Mo
0.067 0.170 0.414 O
0.067 0.330 0.914 O
0.119 0.001 0.885 O
0.119 0.499 0.385 O
0.267 0.004 0.248 O
0.267 0.496 0.748 O
0.432 0.670 0.011 O
0.432 0.830 0.511 O
0.487 0.177 0.207 O
0.487 0.323 0.707 O
0.513 0.677 0.293 O
0.513 0.823 0.793 O
0.568 0.170 0.489 O
0.568 0.330 0.989 O
0.733 0.504 0.252 O
0.733 0.996 0.752 O
0.881 0.501 0.615 O
0.881 0.999 0.115 O
0.933 0.670 0.086 O
0.933 0.830 0.586 O
```

## Properties
The energy with MP2020 corrections comes out at -6.23 eV per atom. As for the energy relative to the lowest polymorph listed for this composition: 316 meV/atom. As for the symmetry: No. 14. As for the formation energy: -1.429 eV/atom.

=====

[5]
Entry from the Materials Project: crystalline NiH20Se2N2O14 at its relaxed geometry (PBE+U).

Cell and atoms, written as POSCAR:
```
NiH20Se2N2O14
1.0
7.410 0.000 0.000
0.000 14.408 0.000
-2.433 0.000 9.435
Ni H Se N O
2 40 4 4 28
direct
0.000 0.000 0.000 Ni
0.000 0.500 0.500 Ni
0.035 0.036 0.394 H
0.035 0.464 0.894 H
0.060 0.118 0.179 H
0.060 0.382 0.679 H
0.061 0.525 0.150 H
0.061 0.975 0.650 H
0.074 0.695 0.489 H
0.074 0.805 0.989 H
0.120 0.595 0.872 H
0.120 0.905 0.372 H
0.191 0.183 0.584 H
0.191 0.317 0.084 H
0.339 0.207 0.737 H
0.339 0.293 0.237 H
0.389 0.532 0.312 H
0.389 0.968 0.812 H
0.399 0.051 0.708 H
0.399 0.449 0.208 H
0.415 0.185 0.597 H
0.415 0.315 0.097 H
0.585 0.685 0.903 H
0.585 0.815 0.403 H
0.601 0.551 0.792 H
0.601 0.949 0.292 H
0.611 0.032 0.188 H
0.611 0.468 0.688 H
0.661 0.707 0.763 H
0.661 0.793 0.263 H
0.809 0.683 0.916 H
0.809 0.817 0.416 H
0.880 0.095 0.628 H
0.880 0.405 0.128 H
0.926 0.195 0.011 H
0.926 0.305 0.511 H
0.939 0.025 0.350 H
0.939 0.475 0.850 H
0.940 0.618 0.321 H
0.940 0.882 0.821 H
0.965 0.536 0.106 H
0.965 0.964 0.606 H
0.277 0.679 0.071 Se
0.277 0.821 0.571 Se
0.723 0.179 0.429 Se
0.723 0.321 0.929 Se
0.317 0.166 0.649 N
0.317 0.334 0.149 N
0.683 0.666 0.851 N
0.683 0.834 0.351 N
0.048 0.598 0.395 O
0.048 0.902 0.895 O
0.066 0.747 0.045 O
0.066 0.753 0.545 O
0.236 0.631 0.892 O
0.236 0.869 0.392 O
0.268 0.049 0.002 O
0.268 0.451 0.502 O
0.292 0.134 0.993 O
0.292 0.366 0.493 O
0.446 0.750 0.062 O
0.446 0.750 0.562 O
0.449 0.513 0.239 O
0.449 0.987 0.739 O
0.551 0.013 0.261 O
0.551 0.487 0.761 O
0.554 0.250 0.438 O
0.554 0.250 0.938 O
0.708 0.634 0.507 O
0.708 0.866 0.007 O
0.732 0.549 0.498 O
0.732 0.951 0.998 O
0.764 0.131 0.608 O
0.764 0.369 0.108 O
0.934 0.247 0.455 O
0.934 0.253 0.955 O
0.952 0.098 0.105 O
0.952 0.402 0.605 O
```

## Properties
The energy with MP2020 corrections comes out at -5.03 eV per atom. As for the energy relative to the lowest polymorph listed for this composition: 347 meV/atom. As for the symmetry: No. 14. As for the formation energy: -0.757 eV/atom.

=====

[6]
Entry from the Materials Project: crystalline KLaNiSbO6 at its relaxed geometry (PBE+U).

Cell and atoms, written as POSCAR:
```
KLaNiSbO6
1.0
0.000 3.997 3.997
3.997 0.000 3.997
3.997 3.997 0.000
K La Ni Sb O
1 1 1 1 6
direct
0.000 0.000 0.000 K
0.500 0.500 0.500 La
0.750 0.750 0.750 Ni
0.250 0.250 0.250 Sb
0.002 0.002 0.498 O
0.002 0.498 0.002 O
0.002 0.498 0.498 O
0.498 0.002 0.002 O
0.498 0.002 0.498 O
0.498 0.498 0.002 O
```

## Properties
The energy with MP2020 corrections comes out at -6.66 eV per atom. As for the symmetry: No. 216. As for the formation energy: -2.093 eV/atom.

=====

[7]
Entry from the Materials Project: crystalline Ag2Mo2O7 at its relaxed geometry (PBE+U).

Cell and atoms, written as POSCAR:
```
Ag2Mo2O7
1.0
6.197 0.000 0.000
0.000 13.398 0.000
-2.806 0.000 7.582
Ag Mo O
8 8 28
direct
0.043 0.095 0.408 Ag
0.043 0.405 0.908 Ag
0.422 0.728 0.972 Ag
0.422 0.772 0.472 Ag
0.578 0.228 0.528 Ag
0.578 0.272 0.028 Ag
0.957 0.595 0.092 Ag
0.957 0.905 0.592 Ag
0.022 0.121 0.898 Mo
0.022 0.379 0.398 Mo
0.470 0.005 0.197 Mo
0.470 0.495 0.697 Mo
0.530 0.505 0.303 Mo
0.530 0.995 0.803 Mo
0.978 0.621 0.602 Mo
0.978 0.879 0.102 Mo
0.062 0.623 0.837 O
0.062 0.877 0.337 O
0.148 0.043 0.154 O
0.148 0.457 0.654 O
0.170 0.236 0.966 O
0.170 0.264 0.466 O
0.254 0.639 0.570 O
0.254 0.861 0.070 O
0.321 0.043 0.918 O
0.321 0.457 0.418 O
0.393 0.621 0.226 O
0.393 0.879 0.726 O
0.442 0.071 0.613 O
0.442 0.429 0.113 O
0.558 0.571 0.887 O
0.558 0.929 0.387 O
0.607 0.121 0.274 O
0.607 0.379 0.774 O
0.679 0.543 0.582 O
0.679 0.957 0.082 O
0.746 0.139 0.930 O
0.746 0.361 0.430 O
0.830 0.736 0.534 O
0.830 0.764 0.034 O
0.852 0.543 0.346 O
0.852 0.957 0.846 O
0.938 0.123 0.663 O
0.938 0.377 0.163 O
```

## Properties
The energy with MP2020 corrections comes out at -7.14 eV per atom. As for the symmetry: No. 14. As for the formation energy: -1.508 eV/atom.